First-principles (GGA-PBE) data for La8Cu3O16 after structural relaxation, as listed in the Materials Project database.

Calculated values
**Energy above the lowest structure with this stoichiometry**: 0.001 eV per atom

Cell lengths 7.1073, 7.5405, 8.4214 Å; angles 116.53, 96.77, 105.51 degrees
Positions (direct):
La1 0.0000 0.0000 0.0000
La2 0.0010 0.4785 0.9958
La3 0.0025 0.2398 0.4827
La4 0.0072 0.7301 0.4886
La5 0.5486 0.2010 0.1334
La6 0.5536 0.6910 0.1397
La7 0.5566 0.4513 0.6239
La8 0.5582 0.9308 0.6210
Cu1 0.2752 0.7109 0.8075
Cu2 0.2798 0.2138 0.8100
Cu3 0.2798 0.9645 0.3101
O1 0.2732 0.8373 0.0582
O2 0.2748 0.7206 0.3091
O3 0.2760 0.4636 0.8107
O4 0.2766 0.9634 0.8109
O5 0.2787 0.5923 0.5650
O6 0.2799 0.3381 0.0549
O7 0.2827 0.2092 0.3111
O8 0.2849 0.0925 0.5611
O9 0.6443 0.0914 0.3932
O10 0.6437 0.8420 0.8931
O11 0.6458 0.3449 0.9011
O12 0.6522 0.6070 0.4041
O13 0.9031 0.3158 0.2100
O14 0.9111 0.8305 0.2209
O15 0.9117 0.5656 0.7078
O16 0.9160 0.0717 0.7175

***

First-principles (GGA-PBE) data for La2Cu2O5 after structural relaxation, as listed in the Materials Project database.

Calculated values
**Energy above the lowest structure with this stoichiometry**: 0.000 eV per atom

Cell lengths 6.6608, 6.6608, 5.5950 Å; angles 90.00, 90.00, 90.00 degrees
Positions (direct):
La1 0.1108 0.2661 0.0000
La2 0.2661 0.8892 0.5000
La3 0.7339 0.1108 0.5000
La4 0.8892 0.7339 0.0000
Cu1 0.3129 0.4104 0.5000
Cu2 0.4104 0.6871 0.0000
Cu3 0.5896 0.3129 0.0000
Cu4 0.6871 0.5896 0.5000
O1 0.0000 0.0000 0.2500
O2 0.0000 0.0000 0.7500
O3 0.2122 0.5932 0.2411
O4 0.2122 0.5932 0.7589
O5 0.4068 0.2122 0.2589
O6 0.4068 0.2122 0.7411
O7 0.5932 0.7878 0.2589
O8 0.5932 0.7878 0.7411
O9 0.7878 0.4068 0.2411
O10 0.7878 0.4068 0.7589

***

First-principles (GGA-PBE) data for La2Cu2O5 after structural relaxation, as listed in the Materials Project database.

Calculated values
**Energy above the lowest structure with this stoichiometry**: 0.024 eV per atom

Cell lengths 7.2214, 7.2214, 27.5713 Å; angles 102.41, 102.41, 30.28 degrees
Positions (direct):
La1 0.1184 0.6323 0.5972
La2 0.1298 0.5933 0.7314
La3 0.1332 0.5594 0.8654
La4 0.3677 0.8816 0.9028
La5 0.4067 0.8702 0.7686
La6 0.4406 0.8668 0.6346
La7 0.5594 0.1332 0.3654
La8 0.5933 0.1298 0.2314
La9 0.6323 0.1184 0.0972
La10 0.8668 0.4406 0.1346
La11 0.8702 0.4067 0.2686
La12 0.8816 0.3677 0.4028
Cu1 0.0682 0.2996 0.0288
Cu2 0.2273 0.7588 0.3191
Cu3 0.2412 0.7727 0.1809
Cu4 0.2448 0.7303 0.4602
Cu5 0.2697 0.7552 0.0398
Cu6 0.2996 0.0682 0.5288
Cu7 0.7004 0.9318 0.4712
Cu8 0.7303 0.2448 0.9602
Cu9 0.7552 0.2697 0.5398
Cu10 0.7588 0.2273 0.8191
Cu11 0.7727 0.2412 0.6809
Cu12 0.9318 0.7004 0.9712
O1 0.0084 0.3985 0.5874
O2 0.0325 0.5924 0.2911
O3 0.0334 0.6223 0.1626
O4 0.1024 0.5567 0.0391
O5 0.2023 0.7127 0.9640
O6 0.2326 0.7427 0.3891
O7 0.2334 0.7666 0.2500
O8 0.2573 0.7674 0.1109
O9 0.2588 0.7256 0.8190
O10 0.2744 0.7412 0.6810
O11 0.2873 0.7977 0.5360
O12 0.3777 0.9666 0.3374
O13 0.3985 0.0084 0.0874
O14 0.4076 0.9675 0.2089
O15 0.4433 0.8976 0.4609
O16 0.5567 0.1024 0.5391
O17 0.5924 0.0325 0.7911
O18 0.6015 0.9916 0.9126
O19 0.6223 0.0334 0.6626
O20 0.7127 0.2023 0.4640
O21 0.7256 0.2588 0.3190
O22 0.7412 0.2744 0.1810
O23 0.7427 0.2326 0.8891
O24 0.7666 0.2334 0.7500
O25 0.7674 0.2573 0.6109
O26 0.7977 0.2873 0.0360
O27 0.8976 0.4433 0.9609
O28 0.9666 0.3777 0.8374
O29 0.9675 0.4076 0.7089
O30 0.9916 0.6015 0.4126

***

First-principles (GGA-PBE) data for La12Cu10O31 after structural relaxation, as listed in the Materials Project database.

Calculated values
**Final energy**: -6.93 eV/atom

Cell lengths 6.7077, 6.7077, 20.6841 Å; angles 90.06, 90.06, 120.35 degrees
Positions (direct):
La1 0.0003 0.0003 0.1290
La2 0.9997 0.9997 0.8710
La3 0.0000 0.9861 0.6137
La4 0.0139 0.0000 0.3863
La5 0.3290 0.6651 0.3826
La6 0.3331 0.6659 0.8703
La7 0.3341 0.6669 0.1297
La8 0.3349 0.6710 0.6175
La9 0.6498 0.3332 0.6175
La10 0.6672 0.3331 0.1290
La11 0.6669 0.3328 0.8710
La12 0.6669 0.3502 0.3825
Cu1 0.3300 0.1593 0.7444
Cu2 0.3330 0.1664 0.0000
Cu3 0.3347 0.1705 0.2559
Cu4 0.8293 0.1601 0.2564
Cu5 0.8295 0.6653 0.7441
Cu6 0.8336 0.1664 0.0000
Cu7 0.8336 0.6670 0.0000
Cu8 0.8388 0.1612 0.5000
Cu9 0.8399 0.1707 0.7436
Cu10 0.8407 0.6700 0.2556
O1 0.0004 0.3327 0.0767
O2 0.0002 0.6671 0.6723
O3 0.0024 0.0012 0.2542
O4 0.0020 0.6689 0.9239
O5 0.0042 0.3377 0.8198
O6 0.0050 0.6676 0.1800
O7 0.0061 0.6484 0.4258
O8 0.3236 0.3254 0.6728
O9 0.3311 0.9980 0.0761
O10 0.3324 0.9950 0.8200
O11 0.3329 0.9998 0.3277
O12 0.3345 0.3345 0.9238
O13 0.3373 0.3386 0.1803
O14 0.3428 0.3572 0.4221
O15 0.3516 0.9939 0.5742
O16 0.6428 0.6572 0.5779
O17 0.6605 0.0134 0.4318
O18 0.6614 0.6627 0.8197
O19 0.6623 0.9958 0.1802
O20 0.6660 0.3307 0.7440
O21 0.6655 0.6655 0.0762
O22 0.6673 0.9996 0.9233
O23 0.6678 0.3322 0.0000
O24 0.6693 0.3340 0.2560
O25 0.6746 0.6764 0.3272
O26 0.6761 0.0047 0.6716
O27 0.9866 0.3395 0.5682
O28 0.9925 0.0075 0.5000
O29 0.9953 0.3239 0.3284
O30 0.9991 0.0009 0.0000
O31 0.9988 0.9976 0.7458

***

First-principles (GGA-PBE) data for La2Cu2O5 after structural relaxation, as listed in the Materials Project database.

Calculated values
**Energy above the lowest structure with this stoichiometry**: 0.032 eV per atom

Cell lengths 3.7678, 7.2146, 26.9992 Å; angles 87.26, 86.04, 74.88 degrees
Positions (direct):
La1 0.0000 0.0000 0.0000
La2 0.0021 0.8342 0.1337
La3 0.2388 0.4792 0.9636
La4 0.2719 0.3178 0.0975
La5 0.3125 0.1524 0.2309
La6 0.4291 0.5006 0.5006
La7 0.4584 0.3348 0.6347
La8 0.4988 0.1755 0.7688
La9 0.7270 0.8207 0.5973
La10 0.7372 0.6547 0.7315
La11 0.7459 0.9793 0.4631
La12 0.9797 0.6721 0.2684
Cu1 0.0917 0.1614 0.5465
Cu2 0.1048 0.9924 0.6851
Cu3 0.1153 0.3104 0.4055
Cu4 0.1311 0.8460 0.8259
Cu5 0.1677 0.9858 0.3367
Cu6 0.5631 0.6652 0.3947
Cu7 0.5929 0.8131 0.9055
Cu8 0.6212 0.3406 0.3257
Cu9 0.6235 0.6590 0.0461
Cu10 0.6389 0.4961 0.1847
Cu11 0.7976 0.1696 0.8947
Cu12 0.9358 0.4906 0.8374
O1 0.0607 0.8842 0.9013
O2 0.0943 0.0813 0.6161
O3 0.1044 0.2389 0.4761
O4 0.1190 0.9149 0.7553
O5 0.1224 0.6609 0.0461
O6 0.1428 0.4891 0.1841
O7 0.1517 0.2772 0.3302
O8 0.2527 0.8221 0.5284
O9 0.2694 0.5095 0.7790
O10 0.2732 0.6618 0.6574
O11 0.3116 0.9447 0.4045
O12 0.4146 0.7059 0.3269
O13 0.4462 0.9916 0.0745
O14 0.4649 0.1465 0.9530
O15 0.4816 0.8328 0.2026
O16 0.5813 0.3800 0.4016
O17 0.5904 0.1633 0.5469
O18 0.6046 0.9921 0.6848
O19 0.6055 0.7403 0.9759
O20 0.6325 0.4150 0.2546
O21 0.6323 0.5773 0.1155
O22 0.6607 0.7804 0.8301
O23 0.7640 0.4483 0.9052
O24 0.8199 0.3202 0.0285
O25 0.8275 0.1602 0.1567
O26 0.8636 0.6463 0.4532
O27 0.8708 0.0071 0.2784
O28 0.8989 0.4953 0.5747
O29 0.9055 0.3332 0.7040
O30 0.9732 0.2091 0.8272

***

First-principles (GGA-PBE) data for La5Cu5O13 after structural relaxation, as listed in the Materials Project database.

Calculated values
**Final energy**: -6.88 eV/atom

Cell lengths 8.5519, 3.8875, 8.5654 Å; angles 90.00, 90.22, 90.00 degrees
Positions (direct):
La1 0.0000 0.0000 0.0000
La2 0.2262 0.0000 0.3600
La3 0.3613 0.0000 0.7741
La4 0.6387 0.0000 0.2259
La5 0.7738 0.0000 0.6400
Cu1 0.0734 0.5000 0.6685
Cu2 0.3340 0.5000 0.0749
Cu3 0.5000 0.5000 0.5000
Cu4 0.6660 0.5000 0.9251
Cu5 0.9266 0.5000 0.3315
O1 0.0709 0.0000 0.6802
O2 0.1061 0.5000 0.2004
O3 0.2113 0.5000 0.8894
O4 0.2573 0.5000 0.5425
O5 0.3233 0.0000 0.0734
O6 0.4533 0.5000 0.2643
O7 0.5000 0.0000 0.5000
O8 0.5467 0.5000 0.7357
O9 0.6767 0.0000 0.9266
O10 0.7427 0.5000 0.4575
O11 0.7887 0.5000 0.1106
O12 0.8939 0.5000 0.7996
O13 0.9291 0.0000 0.3198